1.
DFT (GGA+U) results for a geometry-optimized VCoH14O8F4 structure.

abc: 6.5817 11.5088 14.1360
angles: 89.50 89.58 78.03
Positions (direct):
V1 0.0055 0.2644 0.2326
V2 0.0129 0.7661 0.2594
V3 0.9871 0.2339 0.7406
V4 0.9945 0.7356 0.7674
Co1 0.5000 0.0000 0.0000
Co2 0.5000 0.0000 0.5000
Co3 0.5000 0.5000 0.0000
Co4 0.5000 0.5000 0.5000
H1 0.0201 0.0336 0.3216
H2 0.0467 0.4590 0.8042
H3 0.0995 0.6118 0.4511
H4 0.1005 0.0926 0.0622
H5 0.1034 0.1118 0.9509
H6 0.1067 0.5978 0.5627
H7 0.1170 0.1263 0.4464
H8 0.1256 0.6314 0.9503
H9 0.1687 0.6827 0.0525
H10 0.1717 0.1850 0.5438
H11 0.1778 0.8846 0.6353
H12 0.2025 0.3664 0.8650
H13 0.2413 0.3616 0.0452
H14 0.2736 0.8580 0.4123
H15 0.3062 0.8692 0.8821
H16 0.3080 0.3596 0.3875
H17 0.3233 0.8600 0.1208
H18 0.3245 0.3672 0.6279
H19 0.3907 0.0312 0.6843
H20 0.4011 0.5367 0.1853
H21 0.4225 0.2768 0.9917
H22 0.4231 0.5843 0.8166
H23 0.4266 0.7810 0.4881
H24 0.4390 0.0898 0.3189
H25 0.4476 0.6241 0.3333
H26 0.4493 0.1350 0.8387
H27 0.4568 0.1438 0.1525
H28 0.4571 0.6531 0.6466
H29 0.5429 0.3469 0.3534
H30 0.5432 0.8562 0.8475
H31 0.5507 0.8650 0.1613
H32 0.5524 0.3759 0.6667
H33 0.5610 0.9102 0.6811
H34 0.5734 0.2190 0.5119
H35 0.5769 0.4157 0.1834
H36 0.5775 0.7232 0.0083
H37 0.5989 0.4633 0.8147
H38 0.6093 0.9688 0.3157
H39 0.6755 0.6328 0.3721
H40 0.6767 0.1400 0.8792
H41 0.6920 0.6404 0.6125
H42 0.6938 0.1308 0.1179
H43 0.7264 0.1420 0.5877
H44 0.7587 0.6384 0.9548
H45 0.7975 0.6336 0.1350
H46 0.8222 0.1154 0.3647
H47 0.8283 0.8150 0.4562
H48 0.8313 0.3173 0.9475
H49 0.8744 0.3686 0.0497
H50 0.8830 0.8737 0.5536
H51 0.8933 0.4022 0.4373
H52 0.8966 0.8882 0.0491
H53 0.8995 0.9074 0.9378
H54 0.9005 0.3882 0.5489
H55 0.9533 0.5410 0.1958
H56 0.9799 0.9664 0.6784
O1 0.0341 0.8845 0.6553
O2 0.0364 0.3622 0.1479
O3 0.1169 0.8701 0.3101
O4 0.1297 0.3774 0.8038
O5 0.1841 0.0701 0.0039
O6 0.1836 0.5711 0.5038
O7 0.2156 0.6179 0.0070
O8 0.2189 0.1205 0.4982
O9 0.3295 0.3556 0.9877
O10 0.3492 0.8611 0.4725
O11 0.4472 0.9614 0.6446
O12 0.4487 0.8718 0.9030
O13 0.4499 0.3610 0.4094
O14 0.4588 0.3863 0.6112
O15 0.4633 0.8710 0.1038
O16 0.4945 0.4799 0.1440
O17 0.5055 0.5201 0.8560
O18 0.5367 0.1290 0.8962
O19 0.5412 0.6137 0.3888
O20 0.5501 0.6390 0.5906
O21 0.5513 0.1282 0.0970
O22 0.5528 0.0386 0.3554
O23 0.6508 0.1389 0.5275
O24 0.6705 0.6444 0.0123
O25 0.7811 0.8795 0.5018
O26 0.7844 0.3821 0.9930
O27 0.8164 0.4289 0.4962
O28 0.8159 0.9299 0.9961
O29 0.8703 0.6226 0.1962
O30 0.8831 0.1299 0.6899
O31 0.9636 0.6378 0.8521
O32 0.9659 0.1155 0.3447
F1 0.0604 0.3446 0.3470
F2 0.0627 0.8561 0.8511
F3 0.0758 0.7997 0.1258
F4 0.0797 0.3010 0.6226
F5 0.2593 0.6359 0.2569
F6 0.2712 0.1426 0.7569
F7 0.2870 0.1696 0.2398
F8 0.2907 0.6815 0.7408
F9 0.7093 0.3185 0.2592
F10 0.7130 0.8304 0.7602
F11 0.7288 0.8574 0.2431
F12 0.7407 0.3641 0.7431
F13 0.9203 0.6990 0.3774
F14 0.9242 0.2003 0.8742
F15 0.9373 0.1439 0.1489
F16 0.9396 0.6554 0.6530

Computed properties:
- VASP energy: -5.20 eV/atom
- Corrected total energy (MP2020 scheme): -5.583 eV/atom
- Crystal system: triclinic
- Formation enthalpy at 0 K: -1.62 eV per atom

***

2.
DFT (GGA+U) results for a geometry-optimized Li2FeP2O8 structure.

abc: 9.1508 13.7419 9.2385
angles: 90.00 90.00 90.00
Positions (direct):
Li1 0.0456 0.1258 0.2260
Li2 0.0456 0.3742 0.7260
Li3 0.2165 0.6268 0.4604
Li4 0.2165 0.8732 0.9604
Li5 0.2835 0.1268 0.4604
Li6 0.2835 0.3732 0.9604
Li7 0.4544 0.6258 0.2260
Li8 0.4544 0.8742 0.7260
Li9 0.5456 0.1258 0.2740
Li10 0.5456 0.3742 0.7740
Li11 0.7165 0.6268 0.0396
Li12 0.7165 0.8732 0.5396
Li13 0.7835 0.1268 0.0396
Li14 0.7835 0.3732 0.5396
Li15 0.9544 0.6258 0.2740
Li16 0.9544 0.8742 0.7740
Fe1 0.1048 0.6253 0.8598
Fe2 0.1048 0.8747 0.3598
Fe3 0.3952 0.1253 0.8598
Fe4 0.3952 0.3747 0.3598
Fe5 0.6048 0.6253 0.6402
Fe6 0.6048 0.8747 0.1402
Fe7 0.8952 0.1253 0.6402
Fe8 0.8952 0.3747 0.1402
P1 0.0666 0.2226 0.9259
P2 0.0666 0.2774 0.4259
P3 0.1867 0.5097 0.1612
P4 0.1867 0.9903 0.6612
P5 0.3133 0.0097 0.1612
P6 0.3133 0.4903 0.6612
P7 0.4334 0.7226 0.9259
P8 0.4334 0.7774 0.4259
P9 0.5666 0.2226 0.5741
P10 0.5666 0.2774 0.0741
P11 0.6867 0.5097 0.3388
P12 0.6867 0.9903 0.8388
P13 0.8133 0.0097 0.3388
P14 0.8133 0.4903 0.8388
P15 0.9334 0.7226 0.5741
P16 0.9334 0.7774 0.0741
O1 0.0007 0.6455 0.4771
O2 0.0007 0.8545 0.9771
O3 0.0046 0.2201 0.7688
O4 0.0046 0.2799 0.2688
O5 0.0240 0.0105 0.7019
O6 0.0240 0.4895 0.2019
O7 0.0335 0.1709 0.4795
O8 0.0335 0.3291 0.9795
O9 0.1995 0.5255 0.9945
O10 0.1995 0.9745 0.4945
O11 0.2242 0.5848 0.6881
O12 0.2242 0.9152 0.1881
O13 0.2373 0.2198 0.9214
O14 0.2373 0.2802 0.4214
O15 0.2391 0.5976 0.2468
O16 0.2391 0.9024 0.7468
O17 0.2609 0.0976 0.2468
O18 0.2609 0.4024 0.7468
O19 0.2627 0.7198 0.9214
O20 0.2627 0.7802 0.4214
O21 0.2758 0.0848 0.6881
O22 0.2758 0.4152 0.1881
O23 0.3005 0.0255 0.9945
O24 0.3005 0.4745 0.4945
O25 0.4665 0.6709 0.4795
O26 0.4665 0.8291 0.9795
O27 0.4760 0.5105 0.7019
O28 0.4760 0.9895 0.2019
O29 0.4954 0.7201 0.7688
O30 0.4954 0.7799 0.2688
O31 0.4993 0.1455 0.4771
O32 0.4993 0.3545 0.9771
O33 0.5007 0.6455 0.0229
O34 0.5007 0.8545 0.5229
O35 0.5046 0.2201 0.7312
O36 0.5046 0.2799 0.2312
O37 0.5240 0.0105 0.7981
O38 0.5240 0.4895 0.2981
O39 0.5335 0.1709 0.0205
O40 0.5335 0.3291 0.5205
O41 0.6995 0.5255 0.5055
O42 0.6995 0.9745 0.0055
O43 0.7242 0.5848 0.8119
O44 0.7242 0.9152 0.3119
O45 0.7373 0.2198 0.5786
O46 0.7373 0.2802 0.0786
O47 0.7391 0.5976 0.2532
O48 0.7391 0.9024 0.7532
O49 0.7609 0.0976 0.2532
O50 0.7609 0.4024 0.7532
O51 0.7627 0.7198 0.5786
O52 0.7627 0.7802 0.0786
O53 0.7758 0.0848 0.8119
O54 0.7758 0.4152 0.3119
O55 0.8005 0.0255 0.5055
O56 0.8005 0.4745 0.0055
O57 0.9665 0.6709 0.0205
O58 0.9665 0.8291 0.5205
O59 0.9760 0.5105 0.7981
O60 0.9760 0.9895 0.2981
O61 0.9954 0.7201 0.7312
O62 0.9954 0.7799 0.2312
O63 0.9993 0.1455 0.0229
O64 0.9993 0.3545 0.5229

Computed properties:
- VASP energy: -6.63 eV/atom
- Corrected total energy (MP2020 scheme): -7.230 eV/atom
- Crystal system: orthorhombic
- Formation enthalpy at 0 K: -2.41 eV per atom

***

3.
DFT (GGA+U) results for a geometry-optimized Li6MnNi7O16 structure.

abc: 6.4162 7.5762 12.7109
angles: 95.33 99.13 114.15
Positions (direct):
Li1 0.0000 0.0000 0.0000
Li2 0.0476 0.4052 0.9446
Li3 0.1821 0.1377 0.8148
Li4 0.2478 0.5121 0.7537
Li5 0.3030 0.8977 0.6951
Li6 0.4275 0.6385 0.5635
Li7 0.4917 0.0224 0.5031
Li8 0.5491 0.3889 0.4445
Li9 0.6775 0.1289 0.3170
Li10 0.7482 0.5230 0.2542
Li11 0.8091 0.8796 0.1908
Li12 0.8604 0.2667 0.1262
Mn1 0.3363 0.5780 0.1612
Mn2 0.8360 0.5762 0.6623
Ni1 0.0146 0.6999 0.4709
Ni2 0.0881 0.0807 0.4108
Ni3 0.1460 0.4543 0.3468
Ni4 0.2154 0.8304 0.2870
Ni5 0.2736 0.2037 0.2225
Ni6 0.3934 0.9517 0.0970
Ni7 0.4649 0.3296 0.0369
Ni8 0.5197 0.7020 0.9720
Ni9 0.5860 0.0768 0.9110
Ni10 0.6472 0.4543 0.8475
Ni11 0.7135 0.8308 0.7855
Ni12 0.7677 0.2010 0.7224
Ni13 0.8972 0.9514 0.5973
Ni14 0.9690 0.3304 0.5374
O1 0.0012 0.1927 0.2714
O2 0.0361 0.2182 0.6747
O3 0.0643 0.5485 0.2217
O4 0.1123 0.5922 0.6152
O5 0.1328 0.9434 0.1500
O6 0.1611 0.9588 0.5466
O7 0.1839 0.3135 0.0828
O8 0.2313 0.3591 0.4713
O9 0.2571 0.6712 0.0333
O10 0.2847 0.7143 0.4237
O11 0.3180 0.0709 0.9643
O12 0.3613 0.1009 0.3640
O13 0.3777 0.4392 0.8968
O14 0.4104 0.4701 0.2925
O15 0.4481 0.8167 0.8310
O16 0.4800 0.8453 0.2341
O17 0.5064 0.1860 0.7784
O18 0.5477 0.2232 0.1758
O19 0.5660 0.5739 0.7090
O20 0.6070 0.5930 0.1158
O21 0.6308 0.9274 0.6555
O22 0.6617 0.9638 0.0489
O23 0.6910 0.3118 0.5825
O24 0.7318 0.3367 0.9845
O25 0.7506 0.6710 0.5329
O26 0.7796 0.7302 0.9090
O27 0.8226 0.0724 0.4625
O28 0.8620 0.0897 0.8612
O29 0.8789 0.4381 0.3950
O30 0.9120 0.4710 0.7904
O31 0.9493 0.8162 0.3329
O32 0.9808 0.8441 0.7348

Computed properties:
- VASP energy: -5.11 eV/atom
- Corrected total energy (MP2020 scheme): -6.128 eV/atom
- Crystal system: triclinic
- Formation enthalpy at 0 K: -1.45 eV per atom

***

4.
DFT (GGA+U) results for a geometry-optimized MgFeNiP2O9 structure.

abc: 14.2024 6.2845 7.2475
angles: 90.00 90.00 90.00
Positions (direct):
Mg1 0.2240 0.2500 0.0910
Mg2 0.2760 0.7500 0.5910
Mg3 0.7240 0.2500 0.4090
Mg4 0.7760 0.7500 0.9090
Fe1 0.1178 0.2500 0.6455
Fe2 0.3822 0.7500 0.1455
Fe3 0.6178 0.2500 0.8545
Fe4 0.8822 0.7500 0.3545
Ni1 0.0000 0.0000 0.0000
Ni2 0.0000 0.5000 0.0000
Ni3 0.5000 0.0000 0.5000
Ni4 0.5000 0.5000 0.5000
P1 0.0701 0.7500 0.6424
P2 0.1963 0.7500 0.1186
P3 0.3037 0.2500 0.6186
P4 0.4299 0.2500 0.1424
P5 0.5701 0.7500 0.8576
P6 0.6963 0.7500 0.3814
P7 0.8037 0.2500 0.8814
P8 0.9299 0.2500 0.3576
O1 0.0037 0.2500 0.5068
O2 0.0218 0.7500 0.8334
O3 0.0491 0.2500 0.8665
O4 0.1383 0.5390 0.1103
O5 0.1383 0.9610 0.1103
O6 0.1404 0.5626 0.6281
O7 0.1404 0.9374 0.6281
O8 0.2274 0.2500 0.4625
O9 0.2427 0.2500 0.8001
O10 0.2573 0.7500 0.3001
O11 0.2726 0.7500 0.9625
O12 0.3596 0.0626 0.1281
O13 0.3596 0.4374 0.1281
O14 0.3617 0.0390 0.6103
O15 0.3617 0.4610 0.6103
O16 0.4509 0.7500 0.3665
O17 0.4782 0.2500 0.3334
O18 0.4963 0.7500 0.0068
O19 0.5037 0.2500 0.9932
O20 0.5218 0.7500 0.6666
O21 0.5491 0.2500 0.6335
O22 0.6383 0.5390 0.3897
O23 0.6383 0.9610 0.3897
O24 0.6404 0.5626 0.8719
O25 0.6404 0.9374 0.8719
O26 0.7274 0.2500 0.0375
O27 0.7427 0.2500 0.6999
O28 0.7573 0.7500 0.1999
O29 0.7726 0.7500 0.5375
O30 0.8596 0.0626 0.3719
O31 0.8596 0.4374 0.3719
O32 0.8617 0.0390 0.8897
O33 0.8617 0.4610 0.8897
O34 0.9509 0.7500 0.1335
O35 0.9782 0.2500 0.1666
O36 0.9963 0.7500 0.4932

Computed properties:
- VASP energy: -6.60 eV/atom
- Corrected total energy (MP2020 scheme): -7.380 eV/atom
- Crystal system: orthorhombic
- Formation enthalpy at 0 K: -2.29 eV per atom

***

5.
DFT (GGA+U) results for a geometry-optimized MgCo2Ag2O4 structure.

abc: 3.0920 3.0920 14.1662
angles: 90.00 90.00 120.00
Positions (direct):
Mg1 0.0000 0.0000 0.0000
Co1 0.6667 0.3333 0.3980
Co2 0.6667 0.3333 0.8239
Ag1 0.0000 0.0000 0.6172
Ag2 0.3333 0.6667 0.1722
O1 0.0000 0.0000 0.4690
O2 0.0000 0.0000 0.7678
O3 0.3333 0.6667 0.3286
O4 0.3333 0.6667 0.9396

Computed properties:
- VASP energy: -5.01 eV/atom
- Corrected total energy (MP2020 scheme): -5.682 eV/atom
- Crystal system: trigonal
- Formation enthalpy at 0 K: -1.10 eV per atom

***

6.
DFT (GGA+U) results for a geometry-optimized LiFeF4 structure.

abc: 6.9961 8.2337 9.7218
angles: 97.24 106.76 101.54
Positions (direct):
Li1 0.0067 0.0036 0.2656
Li2 0.1944 0.6043 0.3515
Li3 0.4783 0.6870 0.8617
Li4 0.5217 0.3130 0.1383
Li5 0.8056 0.3957 0.6485
Li6 0.9933 0.9964 0.7344
Fe1 0.0217 0.6973 0.9856
Fe2 0.2325 0.3041 0.5726
Fe3 0.4679 0.8830 0.2145
Fe4 0.5321 0.1170 0.7855
Fe5 0.7675 0.6959 0.4274
Fe6 0.9783 0.3027 0.0144
F1 0.0413 0.7137 0.4344
F2 0.0465 0.5300 0.1357
F3 0.0542 0.8393 0.8562
F4 0.1600 0.8693 0.1717
F5 0.1846 0.0947 0.4492
F6 0.2448 0.2970 0.0264
F7 0.2561 0.1378 0.7453
F8 0.2651 0.4276 0.4289
F9 0.3518 0.4828 0.7367
F10 0.3525 0.7290 0.0274
F11 0.4499 0.7490 0.3569
F12 0.4792 0.8900 0.7831
F13 0.5208 0.1100 0.2169
F14 0.5501 0.2510 0.6431
F15 0.6475 0.2710 0.9726
F16 0.6482 0.5172 0.2633
F17 0.7349 0.5724 0.5711
F18 0.7439 0.8622 0.2547
F19 0.7552 0.7030 0.9736
F20 0.8154 0.9053 0.5508
F21 0.8400 0.1307 0.8283
F22 0.9458 0.1607 0.1438
F23 0.9535 0.4700 0.8643
F24 0.9587 0.2863 0.5656

Computed properties:
- VASP energy: -5.08 eV/atom
- Corrected total energy (MP2020 scheme): -5.767 eV/atom
- Crystal system: triclinic
- Formation enthalpy at 0 K: -2.76 eV per atom

***

7.
DFT (GGA+U) results for a geometry-optimized SrNbCrSnO6 structure.

abc: 5.6692 5.6692 5.6692
angles: 60.00 60.00 60.00
Positions (direct):
Sr1 0.0000 0.0000 0.0000
Nb1 0.7500 0.7500 0.7500
Cr1 0.2500 0.2500 0.2500
Sn1 0.5000 0.5000 0.5000
O1 0.0002 0.0002 0.4998
O2 0.0002 0.4998 0.0002
O3 0.0002 0.4998 0.4998
O4 0.4998 0.0002 0.0002
O5 0.4998 0.0002 0.4998
O6 0.4998 0.4998 0.0002

Computed properties:
- VASP energy: -7.52 eV/atom
- Corrected total energy (MP2020 scheme): -8.134 eV/atom
- Crystal system: cubic
- Formation enthalpy at 0 K: -2.62 eV per atom

***

8.
DFT (GGA+U) results for a geometry-optimized HW2O6 structure.

abc: 5.4739 5.4739 5.4739
angles: 119.90 90.25 119.81
Positions (direct):
H1 0.0000 0.0000 0.0000
W1 0.2600 0.5077 0.7523
W2 0.7554 0.5077 0.2477
O1 0.4839 0.4839 0.0000
O2 0.4932 0.4948 0.5049
O3 0.4932 0.9883 0.9984
O4 0.9899 0.4948 0.0016
O5 0.9899 0.9883 0.4951
O6 0.9908 0.4908 0.5000

Computed properties:
- VASP energy: -6.77 eV/atom
- Corrected total energy (MP2020 scheme): -8.219 eV/atom
- Crystal system: orthorhombic
- Formation enthalpy at 0 K: -1.66 eV per atom

***

Among the records above, which one has the lowest VASP energy? SrNbCrSnO6

***

Number 5 is which compound? MgCo2Ag2O4

***

Number 3 is which compound? Li6MnNi7O16